Below is Sc5Si4 after structural relaxation, with properties calculated at the GGA-PBE level.

Cell lengths 7.0295, 7.1418, 13.6432 Å; angles 90.00, 90.00, 90.00 degrees
Closest atoms and distances in Å follow each position.
Sites, in units of the cell vectors:
Sc 0.4764 0.1791 0.4007  6 Si 2.80-2.97
Sc 0.7920 0.9986 0.2500  6 Si 2.73-2.91
Sc 0.4764 0.1791 0.0993  6 Si 2.80-2.97
Sc 0.6240 0.6686 0.3789  6 Si 2.67-2.81
Sc 0.1240 0.8314 0.3789  6 Si 2.67-2.81
Sc 0.9764 0.3209 0.4007  6 Si 2.80-2.97
Sc 0.3760 0.3314 0.6211  6 Si 2.67-2.81
Sc 0.8760 0.1686 0.6211  6 Si 2.67-2.81
Sc 0.5236 0.8209 0.5993  6 Si 2.80-2.97
Sc 0.3760 0.3314 0.8789  6 Si 2.67-2.81
Sc 0.7080 0.4986 0.7500  6 Si 2.73-2.91
Sc 0.1240 0.8314 0.1211  6 Si 2.67-2.81
Sc 0.9764 0.3209 0.0993  6 Si 2.80-2.97
Sc 0.0236 0.6791 0.9007  6 Si 2.80-2.97
Sc 0.0236 0.6791 0.5993  6 Si 2.80-2.97
Sc 0.6240 0.6686 0.1211  6 Si 2.67-2.81
Sc 0.2080 0.0014 0.7500  6 Si 2.73-2.91
Sc 0.5236 0.8209 0.9007  6 Si 2.80-2.97
Sc 0.8760 0.1686 0.8789  6 Si 2.67-2.81
Sc 0.2920 0.5014 0.2500  6 Si 2.73-2.91
Si 0.9192 0.6104 0.2500  1 Si 2.45, 1 Sc 2.73
Si 0.5808 0.1104 0.7500  1 Si 2.45, 1 Sc 2.73
Si 0.0808 0.3896 0.7500  1 Si 2.45, 1 Sc 2.73
Si 0.4192 0.8896 0.2500  1 Si 2.45, 1 Sc 2.73
Si 0.7910 0.9670 0.0412  7 Sc 2.67-2.95
Si 0.1740 0.1340 0.2500  1 Si 2.45
Si 0.2910 0.5330 0.0412  7 Sc 2.67-2.95
Si 0.2090 0.0330 0.9588  7 Sc 2.67-2.95
Si 0.8260 0.8660 0.7500  1 Si 2.45
Si 0.2090 0.0330 0.5412  7 Sc 2.67-2.95
Si 0.7090 0.4670 0.9588  7 Sc 2.67-2.95
Si 0.6740 0.3660 0.2500  1 Si 2.45
Si 0.3260 0.6340 0.7500  1 Si 2.45
Si 0.7910 0.9670 0.4588  7 Sc 2.67-2.95
Si 0.7090 0.4670 0.5412  7 Sc 2.67-2.95
Si 0.2910 0.5330 0.4588  7 Sc 2.67-2.95

Output
- formation enthalpy at 0 K (eV per atom) = -0.733
- calculated total energy (eV/cell) = -240.98
- M_tot (μB/f.u.) = 0.02
- space-group type = Pnma

=====

Below is SiO2 after structural relaxation, with properties calculated at the GGA-PBE level.

Cell lengths 12.7292, 12.7292, 26.4079 Å; angles 90.00, 90.00, 90.00 degrees
Closest atoms and distances in Å follow each position.
Sites, in units of the cell vectors:
Si 0.7144 0.2077 0.4415  4 O 1.62-1.63
Si 0.1389 0.8611 0.1250  4 O 1.62-1.63
Si 0.4728 0.8596 0.8745  4 O 1.62-1.63
Si 0.7891 0.6679 0.8090  4 O 1.62-1.63
Si 0.2037 0.0468 0.1947  4 O 1.62-1.63
Si 0.7152 0.4553 0.4408  4 O 1.62-1.63
Si 0.9540 0.5425 0.0554  4 O 1.62-1.63
Si 0.6679 0.7891 0.9410  4 O 1.62-1.63
Si 0.8611 0.1389 0.6250  4 O 1.62-1.63
Si 0.7891 0.3321 0.6910  4 O 1.62-1.63
Si 0.4728 0.1404 0.6255  4 O 1.62-1.63
Si 0.5425 0.9540 0.6946  4 O 1.62-1.63
Si 0.8596 0.5272 0.6245  4 O 1.62-1.63
Si 0.6670 0.5403 0.9419  4 O 1.62-1.63
Si 0.5447 0.7152 0.6908  4 O 1.62-1.63
Si 0.5403 0.6670 0.8081  4 O 1.62-1.63
Si 0.2077 0.7144 0.3085  4 O 1.62-1.63
Si 0.4575 0.9540 0.3054  4 O 1.62-1.63
Si 0.7963 0.0468 0.8053  4 O 1.62-1.63
Si 0.2856 0.2077 0.5585  4 O 1.62-1.63
Si 0.4553 0.2848 0.1908  4 O 1.62-1.63
Si 0.7144 0.7923 0.0585  4 O 1.62-1.63
Si 0.3330 0.4597 0.4419  4 O 1.62-1.63
Si 0.4597 0.6670 0.1919  4 O 1.62-1.63
Si 0.3321 0.7891 0.0590  4 O 1.62-1.63
Si 0.6679 0.2109 0.5590  4 O 1.62-1.63
Si 0.9532 0.2037 0.4447  4 O 1.62-1.63
Si 0.4597 0.3330 0.3081  4 O 1.62-1.63
Si 0.6670 0.4597 0.5581  4 O 1.62-1.63
Si 0.5403 0.3330 0.6919  4 O 1.62-1.63
Si 0.7152 0.5447 0.0592  4 O 1.62-1.63
Si 0.3330 0.5403 0.0581  4 O 1.62-1.63
Si 0.9532 0.7963 0.0553  4 O 1.62-1.63
Si 0.5447 0.2848 0.8092  4 O 1.62-1.63
Si 0.2848 0.5447 0.9408  4 O 1.62-1.63
Si 0.1404 0.5272 0.3755  4 O 1.62-1.63
Si 0.4575 0.0460 0.1946  4 O 1.62-1.63
Si 0.2037 0.9532 0.3053  4 O 1.62-1.63
Si 0.9540 0.4575 0.4446  4 O 1.62-1.63
Si 0.7923 0.7144 0.6915  4 O 1.62-1.63
Si 0.8611 0.8611 0.8750  4 O 1.62-1.63
Si 0.2077 0.2856 0.1915  4 O 1.62-1.63
Si 0.4553 0.7152 0.3092  4 O 1.62-1.63
Si 0.2848 0.4553 0.5592  4 O 1.62-1.63
Si 0.0460 0.4575 0.5554  4 O 1.62-1.63
Si 0.8596 0.4728 0.8755  4 O 1.62-1.63
Si 0.5425 0.0460 0.8054  4 O 1.62-1.63
Si 0.0468 0.2037 0.5553  4 O 1.62-1.63
Si 0.7923 0.2856 0.8085  4 O 1.62-1.63
Si 0.1389 0.1389 0.3750  4 O 1.62-1.63
Si 0.4726 0.4726 0.8750  4 O 1.62-1.63
Si 0.2109 0.3321 0.3090  4 O 1.62-1.63
Si 0.1404 0.4728 0.1245  4 O 1.62-1.63
Si 0.5272 0.8596 0.1255  4 O 1.62-1.63
Si 0.0460 0.5425 0.9446  4 O 1.62-1.63
Si 0.2856 0.7923 0.9415  4 O 1.62-1.63
Si 0.5274 0.5274 0.3750  4 O 1.62-1.63
Si 0.2109 0.6679 0.1910  4 O 1.62-1.63
Si 0.5274 0.4726 0.1250  4 O 1.62-1.63
Si 0.7963 0.9532 0.6947  4 O 1.62-1.63
Si 0.3321 0.2109 0.4410  4 O 1.62-1.63
Si 0.0468 0.7963 0.9447  4 O 1.62-1.63
Si 0.4726 0.5274 0.6250  4 O 1.62-1.63
Si 0.5272 0.1404 0.3745  4 O 1.62-1.63
O 0.2308 0.5194 0.4191  2 Si 1.62-1.63
O 0.5117 0.0000 0.7500  2 Si 1.62
O 0.4883 0.4389 0.6690  2 Si 1.62-1.63
O 0.8558 0.6420 0.6513  2 Si 1.62
O 0.6650 0.8042 0.0018  2 Si 1.62-1.63
O 0.3350 0.1958 0.5018  2 Si 1.62-1.63
O 0.0237 0.8507 0.0993  2 Si 1.62
O 0.1604 0.1668 0.1903  2 Si 1.63
O 0.3306 0.9547 0.3122  2 Si 1.63
O 0.4710 0.3346 0.2472  2 Si 1.62-1.63
O 0.0000 0.8272 0.0000  2 Si 1.62
O 0.8471 0.2289 0.6684  2 Si 1.62-1.63
O 0.1728 0.0000 0.2500  2 Si 1.62
O 0.1442 0.3580 0.1513  2 Si 1.62
O 0.1594 0.4370 0.3328  2 Si 1.62-1.63
O 0.1493 0.0237 0.3493  2 Si 1.62
O 0.5290 0.6654 0.7472  2 Si 1.62-1.63
O 0.5290 0.3346 0.7528  2 Si 1.62-1.63
O 0.3580 0.8558 0.9013  2 Si 1.62
O 0.0000 0.1728 0.5000  2 Si 1.62
O 0.6436 0.5172 0.3998  2 Si 1.62
O 0.3346 0.4710 0.5028  2 Si 1.62-1.63
O 0.9547 0.6694 0.0622  2 Si 1.63
O 0.4806 0.7692 0.8309  2 Si 1.62-1.63
O 0.1493 0.9763 0.1507  2 Si 1.62
O 0.4883 0.5611 0.8310  2 Si 1.62-1.63
O 0.5630 0.1594 0.5828  2 Si 1.62-1.63
O 0.6724 0.6645 0.9271  2 Si 1.63
O 0.5117 0.4389 0.3310  2 Si 1.62-1.63
O 0.5015 0.8344 0.3106  2 Si 1.63
O 0.1442 0.6420 0.3487  2 Si 1.62
O 0.1656 0.4985 0.9394  2 Si 1.63
O 0.3276 0.3355 0.4271  2 Si 1.63
O 0.3564 0.5172 0.6002  2 Si 1.62
O 0.0256 0.4886 0.0990  2 Si 1.62
O 0.9763 0.8507 0.9007  2 Si 1.62
O 0.2827 0.3313 0.5741  2 Si 1.63
O 0.8558 0.3580 0.8487  2 Si 1.62
O 0.3306 0.0453 0.1878  2 Si 1.63
O 0.5194 0.2308 0.3309  2 Si 1.62-1.63
O 0.5172 0.3564 0.1498  2 Si 1.62
O 0.4389 0.5117 0.4190  2 Si 1.62-1.63
O 0.7173 0.3313 0.4259  2 Si 1.63
O 0.4886 0.0256 0.6510  2 Si 1.62
O 0.8042 0.6650 0.7482  2 Si 1.62-1.63
O 0.5611 0.5117 0.5810  2 Si 1.62-1.63
O 0.8272 0.0000 0.7500  2 Si 1.62
O 0.5194 0.7692 0.1691  2 Si 1.62-1.63
O 0.4370 0.8406 0.0828  2 Si 1.62-1.63
O 0.4710 0.6654 0.2528  2 Si 1.62-1.63
O 0.2289 0.8471 0.0816  2 Si 1.62-1.63
O 0.6650 0.1958 0.4982  2 Si 1.62-1.63
O 0.7692 0.4806 0.9191  2 Si 1.62-1.63
O 0.8396 0.8332 0.6903  2 Si 1.63
O 0.9744 0.4886 0.9010  2 Si 1.62
O 0.1958 0.6650 0.2518  2 Si 1.62-1.63
O 0.8471 0.7711 0.8316  2 Si 1.62-1.63
O 0.8507 0.9763 0.8493  2 Si 1.62
O 0.3355 0.3276 0.3229  2 Si 1.63
O 0.5630 0.8406 0.9172  2 Si 1.62-1.63
O 0.5114 0.0256 0.3490  2 Si 1.62
O 0.7711 0.1529 0.5816  2 Si 1.62-1.63
O 0.8396 0.1668 0.8097  2 Si 1.63
O 0.8507 0.0237 0.6507  2 Si 1.62
O 0.6436 0.4828 0.1002  2 Si 1.62
O 0.4828 0.6436 0.6498  2 Si 1.62
O 0.9547 0.3306 0.4378  2 Si 1.63
O 0.3580 0.1442 0.5987  2 Si 1.62
O 0.6420 0.1442 0.4013  2 Si 1.62
O 0.1668 0.8396 0.9403  2 Si 1.63
O 0.3276 0.6645 0.0729  2 Si 1.63
O 0.0453 0.6694 0.9378  2 Si 1.63
O 0.3564 0.4828 0.8998  2 Si 1.62
O 0.0453 0.3306 0.5622  2 Si 1.63
O 0.7692 0.5194 0.5809  2 Si 1.62-1.63
O 0.1529 0.7711 0.1684  2 Si 1.62-1.63
O 0.6654 0.5290 0.0028  2 Si 1.62-1.63
O 0.9763 0.1493 0.5993  2 Si 1.62
O 0.6420 0.8558 0.0987  2 Si 1.62
O 0.3355 0.6724 0.1771  2 Si 1.63
O 0.8344 0.4985 0.0606  2 Si 1.63
O 0.0256 0.5114 0.4010  2 Si 1.62
O 0.5114 0.9744 0.1510  2 Si 1.62
O 0.4886 0.9744 0.8490  2 Si 1.62
O 0.5611 0.4883 0.9190  2 Si 1.62-1.63
O 0.1668 0.1604 0.5597  2 Si 1.63
O 0.0000 0.4883 0.5000  2 Si 1.62
O 0.6645 0.6724 0.8229  2 Si 1.63
O 0.4985 0.8344 0.6894  2 Si 1.63
O 0.6694 0.0453 0.8122  2 Si 1.63
O 0.1604 0.8332 0.3097  2 Si 1.63
O 0.4370 0.1594 0.4172  2 Si 1.62-1.63
O 0.1529 0.2289 0.3316  2 Si 1.62-1.63
O 0.6654 0.4710 0.4972  2 Si 1.62-1.63
O 0.4806 0.2308 0.6691  2 Si 1.62-1.63
O 0.2289 0.1529 0.4184  2 Si 1.62-1.63
O 0.6645 0.3276 0.6771  2 Si 1.63
O 0.8344 0.5015 0.4394  2 Si 1.63
O 0.5172 0.6436 0.3502  2 Si 1.62
O 0.2308 0.4806 0.0809  2 Si 1.62-1.63
O 0.3350 0.8042 0.9982  2 Si 1.62-1.63
O 0.8332 0.8396 0.0597  2 Si 1.63
O 0.2827 0.6687 0.9259  2 Si 1.63
O 0.1958 0.3350 0.2482  2 Si 1.62-1.63
O 0.3313 0.7173 0.3241  2 Si 1.63
O 0.1594 0.5630 0.1672  2 Si 1.62-1.63
O 0.0237 0.1493 0.4007  2 Si 1.62
O 0.4985 0.1656 0.8106  2 Si 1.63
O 0.3313 0.2827 0.1759  2 Si 1.63
O 0.3346 0.5290 0.9972  2 Si 1.62-1.63
O 0.4389 0.4883 0.0810  2 Si 1.62-1.63
O 0.8406 0.5630 0.8328  2 Si 1.62-1.63
O 0.7711 0.8471 0.9184  2 Si 1.62-1.63
O 0.8406 0.4370 0.6672  2 Si 1.62-1.63
O 0.8042 0.3350 0.7518  2 Si 1.62-1.63
O 0.6687 0.7173 0.6759  2 Si 1.63
O 0.7173 0.6687 0.0741  2 Si 1.63
O 0.6724 0.3355 0.5729  2 Si 1.63
O 0.1656 0.5015 0.5606  2 Si 1.63
O 0.8332 0.1604 0.4403  2 Si 1.63
O 0.6694 0.9547 0.6878  2 Si 1.63
O 0.4883 0.0000 0.2500  2 Si 1.62
O 0.5015 0.1656 0.1894  2 Si 1.63
O 0.5117 0.5611 0.1690  2 Si 1.62-1.63
O 0.4828 0.3564 0.8502  2 Si 1.62
O 0.6687 0.2827 0.8241  2 Si 1.63
O 0.0000 0.5117 0.0000  2 Si 1.62
O 0.9744 0.5114 0.5990  2 Si 1.62

Output
- formation enthalpy at 0 K (eV per atom) = -3.249
- calculated total energy (eV/cell) = -1516.41
- M_tot (μB/f.u.) = 0.00
- space-group type = P4_122

=====

Below is Na2Si3SnO11 after structural relaxation, with properties calculated at the GGA-PBE level.

Cell lengths 6.5300, 6.5300, 11.7947 Å; angles 90.00, 90.00, 104.77 degrees
Closest atoms and distances in Å follow each position.
Sites, in units of the cell vectors:
Si 0.0661 0.3019 0.7155  4 O 1.62-1.65
Si 0.6657 0.6657 0.0000  4 O 1.63-1.64
Si 0.6981 0.9339 0.7845  4 O 1.62-1.65
Si 0.3019 0.0661 0.2845  4 O 1.62-1.65
Si 0.9339 0.6981 0.2155  4 O 1.62-1.65
Si 0.3343 0.3343 0.5000  4 O 1.63-1.64
O 0.4654 0.9190 0.2658  1 Si 1.62
O 0.6389 0.4503 0.9247  1 Si 1.63
O 0.1219 0.2951 0.5795  2 Si 1.64-1.65
O 0.7199 0.6255 0.2908  1 Si 1.62
O 0.2951 0.1219 0.4205  2 Si 1.64-1.65
O 0.2319 0.8928 0.9588  2 Na 2.52-2.53, 2 O 2.73-2.81
O 0.8928 0.2319 0.0412  2 Na 2.52-2.53, 2 O 2.73-2.81
O 0.0810 0.5346 0.2342  1 Si 1.62
O 0.7681 0.1072 0.4588  2 Na 2.52-2.53, 2 O 2.73-2.81
O 0.6255 0.7199 0.7092  1 Si 1.62
O 0.1072 0.7681 0.5412  2 Na 2.52-2.53, 2 O 2.73-2.81
O 0.5346 0.0810 0.7658  1 Si 1.62
O 0.7049 0.8781 0.9205  2 Si 1.64-1.65
O 0.9190 0.4654 0.7342  1 Si 1.62
O 0.3745 0.2801 0.2092  1 Si 1.62
O 0.0551 0.9449 0.2500  2 Si 1.65
O 0.5497 0.3611 0.5753  1 Si 1.63
O 0.2801 0.3745 0.7908  1 Si 1.62
O 0.3611 0.5497 0.4247  1 Si 1.63
O 0.8781 0.7049 0.0795  2 Si 1.64-1.65
O 0.4503 0.6389 0.0753  1 Si 1.63
O 0.9449 0.0551 0.7500  2 Si 1.65
Na 0.1873 0.8127 0.7500  5 O 2.49-2.52
Na 0.7181 0.7181 0.5000  6 O 2.47-2.54
Na 0.2819 0.2819 0.0000  6 O 2.47-2.54
Na 0.8127 0.1873 0.2500  5 O 2.49-2.52
Sn 0.5946 0.4054 0.7500  6 O 2.06-2.09
Sn 0.4054 0.5946 0.2500  6 O 2.06-2.09

Output
- formation enthalpy at 0 K (eV per atom) = -2.258
- calculated total energy (eV/cell) = -216.37
- M_tot (μB/f.u.) = 4.00
- space-group type = C222_1